(1)
Here is a relaxed LiCrPO4 crystal from the Materials Project. Energies are from PBE+U.

```
LiCrPO4
1.0
-10.462 -0.259 -2.493
-1.363 -0.071 5.725
-0.334 10.039 0.358
O P Li Cr
32 8 8 8
direct
0.730 0.177 0.210 O
0.972 0.848 0.145 O
0.028 0.152 0.855 O
0.690 0.613 0.529 O
0.770 0.177 0.710 O
0.806 0.632 0.283 O
0.019 0.582 0.833 O
0.055 0.671 0.424 O
0.310 0.387 0.471 O
0.528 0.848 0.645 O
0.981 0.418 0.167 O
0.715 0.090 0.960 O
0.285 0.910 0.040 O
0.270 0.823 0.790 O
0.945 0.329 0.576 O
0.190 0.387 0.971 O
0.472 0.152 0.355 O
0.215 0.910 0.540 O
0.785 0.090 0.460 O
0.555 0.329 0.076 O
0.573 0.900 0.127 O
0.481 0.582 0.333 O
0.306 0.368 0.217 O
0.427 0.100 0.873 O
0.694 0.632 0.783 O
0.194 0.368 0.717 O
0.445 0.671 0.924 O
0.810 0.613 0.029 O
0.230 0.823 0.290 O
0.073 0.100 0.373 O
0.927 0.900 0.627 O
0.519 0.418 0.667 O
0.392 0.372 0.342 P
0.645 0.126 0.093 P
0.608 0.628 0.658 P
0.108 0.372 0.842 P
0.145 0.874 0.407 P
0.355 0.874 0.907 P
0.855 0.126 0.593 P
0.892 0.628 0.158 P
0.862 0.884 0.899 Li
0.155 0.603 0.145 Li
0.845 0.397 0.855 Li
0.362 0.116 0.601 Li
0.138 0.116 0.101 Li
0.345 0.603 0.645 Li
0.655 0.397 0.355 Li
0.638 0.884 0.399 Li
0.873 0.658 0.481 Cr
0.404 0.868 0.222 Cr
0.904 0.132 0.278 Cr
0.127 0.342 0.519 Cr
0.627 0.658 0.981 Cr
0.096 0.868 0.722 Cr
0.596 0.132 0.778 Cr
0.373 0.342 0.019 Cr
```

total moment	4.0	μB per formula unit
energy of formation from the pure elements	-17.6	eV per formula unit
polymorph energy (0 for the lowest one)	0.046	eV/atom

=====

(2)
Here is a relaxed Li2CrPO6 crystal from the Materials Project. Energies are from PBE+U.

```
Li2CrPO6
1.0
-4.590 -0.216 0.929
-0.346 -7.938 -3.563
2.049 -4.195 9.148
O Cr P Li
24 4 4 8
direct
0.191 0.654 0.282 O
0.758 0.443 0.715 O
0.261 0.316 0.283 O
0.705 0.969 0.993 O
0.739 0.816 0.717 O
0.752 0.625 0.945 O
0.691 0.154 0.218 O
0.809 0.154 0.718 O
0.248 0.125 0.055 O
0.239 0.316 0.783 O
0.230 0.811 0.079 O
0.742 0.443 0.215 O
0.770 0.311 0.921 O
0.730 0.311 0.421 O
0.795 0.969 0.493 O
0.205 0.469 0.507 O
0.761 0.816 0.217 O
0.258 0.943 0.785 O
0.748 0.625 0.445 O
0.242 0.943 0.285 O
0.309 0.654 0.782 O
0.295 0.469 0.007 O
0.252 0.125 0.555 O
0.270 0.811 0.579 O
0.018 0.000 0.614 Cr
0.482 0.000 0.114 Cr
0.518 0.500 0.886 Cr
0.982 0.500 0.386 Cr
0.585 0.306 0.283 P
0.415 0.806 0.717 P
0.915 0.306 0.783 P
0.085 0.806 0.217 P
0.977 0.819 0.912 Li
0.477 0.319 0.588 Li
0.462 0.122 0.865 Li
0.962 0.622 0.635 Li
0.023 0.319 0.088 Li
0.523 0.819 0.412 Li
0.538 0.622 0.135 Li
0.038 0.122 0.365 Li
```

total moment	1.0	μB per formula unit
energy of formation from the pure elements	-23.2	eV per formula unit

=====

(3)
Here is a relaxed LiCr4P3O12 crystal from the Materials Project. Energies are from PBE+U.

```
LiCr4P3O12
1.0
-3.865 -6.343 1.459
6.466 -2.362 4.309
-4.256 7.674 4.349
P Cr O Li
6 8 24 2
direct
0.678 0.440 0.385 P
0.322 0.560 0.615 P
0.603 0.863 0.262 P
0.017 0.250 0.934 P
0.397 0.137 0.738 P
0.983 0.750 0.066 P
0.271 0.526 0.918 Cr
0.742 0.099 0.095 Cr
0.266 0.570 0.282 Cr
0.729 0.474 0.082 Cr
0.012 0.796 0.472 Cr
0.734 0.430 0.718 Cr
0.258 0.901 0.905 Cr
0.988 0.204 0.528 Cr
0.792 0.635 0.475 O
0.723 0.353 0.234 O
0.924 0.929 0.093 O
0.558 0.978 0.160 O
0.461 0.420 0.340 O
0.808 0.590 0.950 O
0.418 0.334 0.844 O
0.751 0.329 0.492 O
0.466 0.875 0.349 O
0.192 0.410 0.050 O
0.864 0.261 0.010 O
0.185 0.058 0.606 O
0.539 0.580 0.660 O
0.277 0.647 0.766 O
0.941 0.284 0.778 O
0.136 0.739 0.990 O
0.059 0.716 0.222 O
0.442 0.022 0.840 O
0.208 0.365 0.525 O
0.534 0.125 0.651 O
0.249 0.671 0.508 O
0.076 0.071 0.907 O
0.582 0.666 0.156 O
0.815 0.942 0.394 O
0.409 0.119 0.433 Li
0.591 0.881 0.567 Li
```

total moment	16.0	μB per formula unit
energy of formation from the pure elements	-49.4	eV per formula unit
polymorph energy (0 for the lowest one)	0.028	eV/atom

=====

(4)
Here is a relaxed LiCrP2O7 crystal from the Materials Project. Energies are from PBE+U.

```
LiCrP2O7
1.0
-1.281 5.500 5.840
-2.569 -3.399 2.638
8.986 -6.481 8.074
O P Cr Li
28 8 4 4
direct
0.853 0.220 0.269 O
0.058 0.219 0.755 O
0.331 0.947 0.501 O
0.110 0.204 0.570 O
0.669 0.053 0.499 O
0.147 0.780 0.731 O
0.390 0.204 0.070 O
0.942 0.781 0.245 O
0.134 0.046 0.335 O
0.910 0.726 0.896 O
0.890 0.796 0.430 O
0.558 0.781 0.745 O
0.866 0.954 0.665 O
0.090 0.274 0.104 O
0.590 0.726 0.396 O
0.634 0.954 0.165 O
0.410 0.274 0.604 O
0.277 0.468 0.425 O
0.169 0.947 0.001 O
0.366 0.046 0.835 O
0.647 0.220 0.769 O
0.777 0.532 0.075 O
0.831 0.053 0.999 O
0.353 0.780 0.231 O
0.610 0.796 0.930 O
0.442 0.219 0.255 O
0.223 0.468 0.925 O
0.723 0.532 0.575 O
0.795 0.776 0.978 P
0.205 0.224 0.022 P
0.542 0.960 0.819 P
0.458 0.040 0.181 P
0.042 0.040 0.681 P
0.958 0.960 0.319 P
0.705 0.776 0.478 P
0.295 0.224 0.522 P
0.354 0.858 0.370 Cr
0.146 0.858 0.870 Cr
0.854 0.142 0.130 Cr
0.646 0.142 0.630 Cr
0.296 0.454 0.744 Li
0.204 0.454 0.244 Li
0.704 0.546 0.256 Li
0.796 0.546 0.756 Li
```

total moment	3.0	μB per formula unit
energy of formation from the pure elements	-28.9	eV per formula unit
polymorph energy (0 for the lowest one)	0.050	eV/atom